(1)
A plane-wave DFT calculation with meta-GGA r2SCAN was carried out for an optimized crystal structure of PrInPt.

```
9
Lattice="7.7877 0.0000 0.0000 -3.8938 6.7443 0.0000 0.0000 0.0000 4.0152" Properties=species:S:1:pos:R:3 pbc="T T T"
Pr -2.2925 3.9706 0.0000
Pr 1.6014 2.7737 0.0000
Pr 4.5849 0.0000 0.0000
In -0.9833 1.7031 2.0076
In 1.9665 0.0000 2.0076
In 2.9106 5.0412 2.0076
Pt 0.0000 0.0000 0.0000
Pt 0.0000 4.4962 2.0076
Pt 3.8938 2.2481 2.0076
```

Summary:
DFT total energy: -35.56 eV per atom

=====

(2)
A plane-wave DFT calculation with meta-GGA r2SCAN was carried out for an optimized crystal structure of AcSnPd2.

```
16
Lattice="7.1609 0.0000 0.0000 0.0000 7.1609 0.0000 0.0000 0.0000 7.1609" Properties=species:S:1:pos:R:3 pbc="T T T"
Ac 0.0000 0.0000 0.0000
Ac 0.0000 3.5805 3.5805
Ac 3.5805 0.0000 3.5805
Ac 3.5805 3.5805 0.0000
Sn 0.0000 0.0000 3.5805
Sn 0.0000 3.5805 0.0000
Sn 3.5805 0.0000 0.0000
Sn 3.5805 3.5805 3.5805
Pd 1.7902 1.7902 1.7902
Pd 1.7902 1.7902 5.3707
Pd 1.7902 5.3707 1.7902
Pd 1.7902 5.3707 5.3707
Pd 5.3707 1.7902 1.7902
Pd 5.3707 1.7902 5.3707
Pd 5.3707 5.3707 1.7902
Pd 5.3707 5.3707 5.3707
```

Summary:
DFT total energy: -35.48 eV per atom

=====

(3)
A plane-wave DFT calculation with meta-GGA r2SCAN was carried out for an optimized crystal structure of NdP2Pt2.

```
10
Lattice="-2.1447 2.1447 9.5814 2.1447 -2.1447 9.5814 2.1447 2.1447 -9.5814" Properties=species:S:1:pos:R:3 pbc="T T T"
Nd 0.0000 0.0000 2.4013
Nd 0.0000 0.0000 16.7615
P 2.1447 0.0000 4.7907
P 0.0000 0.0000 8.2428
P 0.0000 0.0000 10.9200
P 0.0000 2.1447 4.7907
Pt 2.1447 0.0000 0.0000
Pt 0.0000 0.0000 5.8669
Pt 0.0000 2.1447 0.0000
Pt 0.0000 0.0000 13.2959
```

Summary:
DFT total energy: -31.16 eV per atom

=====

(4)
A plane-wave DFT calculation with meta-GGA r2SCAN was carried out for an optimized crystal structure of La2MnSe2O2.

```
56
Lattice="17.6284 0.0000 0.0000 0.0000 16.5131 0.0000 0.0000 0.0000 4.0160" Properties=species:S:1:pos:R:3 pbc="T T T"
La 1.4982 2.9369 4.0159
La 1.5490 11.0767 2.0051
La 1.5835 7.8662 4.0122
La 1.5825 16.2371 2.0080
La 7.2317 7.9806 0.0000
La 7.2307 16.1227 2.0043
La 7.2652 2.8201 4.0131
La 7.3160 11.1934 2.0079
La 10.3124 5.3196 4.0159
La 10.3632 13.6930 2.0051
La 10.3977 0.3904 4.0122
La 10.3967 8.5325 2.0080
La 16.0459 0.2760 0.0000
La 16.0449 8.6469 2.0043
La 16.0794 5.4364 4.0131
La 16.1302 13.5762 2.0079
Mn 3.8816 13.8081 0.0002
Mn 4.3804 1.8411 2.0103
Mn 4.4338 10.0976 0.0023
Mn 4.9326 5.5515 2.0082
Mn 12.6958 10.9616 0.0002
Mn 13.1946 6.4155 2.0103
Mn 13.2480 14.6720 0.0023
Mn 13.7468 2.7050 2.0082
Se 1.0773 5.4132 2.0049
Se 1.3069 13.7225 4.0151
Se 4.3772 4.0684 4.0143
Se 4.3804 16.3185 4.0125
Se 4.4338 8.0620 2.0045
Se 4.4369 12.3250 2.0063
Se 7.5072 5.4659 2.0071
Se 7.7369 13.6698 4.0128
Se 9.8915 2.8433 2.0049
Se 10.1211 11.0471 4.0151
Se 13.1914 4.1881 4.0143
Se 13.1946 8.4511 4.0125
Se 13.2480 0.1946 2.0045
Se 13.2511 12.4447 2.0063
Se 16.3214 2.7906 2.0071
Se 16.5511 11.0998 4.0128
O 0.7715 0.7035 4.0159
O 0.8181 8.8762 2.0042
O 2.3966 2.0185 2.0077
O 2.4586 10.1807 4.0127
O 6.3555 1.9242 2.0048
O 6.4176 10.2750 4.0157
O 7.9961 0.6196 4.0122
O 8.0427 8.9600 2.0079
O 9.5857 7.5531 4.0159
O 9.6323 15.8935 2.0042
O 11.2108 6.2381 2.0077
O 11.2728 14.5889 4.0127
O 15.1697 6.3324 2.0048
O 15.2318 14.4946 4.0157
O 16.8103 7.6369 4.0122
O 16.8569 15.8096 2.0079
```

Summary:
DFT total energy: -19.13 eV per atom

=====

(5)
A plane-wave DFT calculation with meta-GGA r2SCAN was carried out for an optimized crystal structure of Hf2InC.

```
8
Lattice="3.3101 0.0000 0.0000 -1.6550 2.8666 0.0000 0.0000 0.0000 14.7734" Properties=species:S:1:pos:R:3 pbc="T T T"
Hf 0.0000 1.9111 1.2153
Hf 0.0000 1.9111 6.1714
Hf 1.6550 0.9555 8.6020
Hf 1.6550 0.9555 13.5581
In 0.0000 1.9111 11.0800
In 1.6550 0.9555 3.6933
C 0.0000 0.0000 0.0000
C 0.0000 0.0000 7.3867
```

Summary:
DFT total energy: -31.55 eV per atom

=====

(6)
A plane-wave DFT calculation with meta-GGA r2SCAN was carried out for an optimized crystal structure of Al2CoOs.

```
16
Lattice="5.8513 0.0000 0.0000 0.0000 5.8513 0.0000 0.0000 0.0000 5.8513" Properties=species:S:1:pos:R:3 pbc="T T T"
Al 1.4628 1.4628 1.4628
Al 1.4628 1.4628 4.3884
Al 1.4628 4.3884 1.4628
Al 1.4628 4.3884 4.3884
Al 4.3884 1.4628 1.4628
Al 4.3884 1.4628 4.3884
Al 4.3884 4.3884 1.4628
Al 4.3884 4.3884 4.3884
Co 0.0000 0.0000 0.0000
Co 0.0000 2.9256 2.9256
Co 2.9256 0.0000 2.9256
Co 2.9256 2.9256 0.0000
Os 0.0000 0.0000 2.9256
Os 0.0000 2.9256 0.0000
Os 2.9256 0.0000 0.0000
Os 2.9256 2.9256 2.9256
```

Summary:
DFT total energy: -20.46 eV per atom

=====

(7)
A plane-wave DFT calculation with meta-GGA r2SCAN was carried out for an optimized crystal structure of TiI4.

```
10
Lattice="6.9104 -4.1902 0.0000 6.9104 4.1902 0.0000 -0.1001 0.0000 6.9590" Properties=species:S:1:pos:R:3 pbc="T T T"
Ti 6.8353 2.8713 5.2192
Ti 6.8854 -2.8713 1.7397
I 1.4388 0.9081 6.4607
I 1.4889 -0.9081 2.9812
I 5.1523 1.1789 4.2168
I 8.5184 1.1789 6.2217
I 5.2023 -1.1789 0.7373
I 8.5684 -1.1789 2.7422
I 12.2318 0.9081 3.9778
I 12.2818 -0.9081 0.4983
```

Summary:
DFT total energy: -23.09 eV per atom

=====

(8)
A plane-wave DFT calculation with meta-GGA r2SCAN was carried out for an optimized crystal structure of SiH4.

```
20
Lattice="7.5417 0.0000 0.0000 0.0000 4.9568 0.0000 -1.7518 0.0000 7.3502" Properties=species:S:1:pos:R:3 pbc="T T T"
Si 1.2447 0.3561 2.6545
Si 0.3688 2.1222 6.3296
Si 5.4212 2.8345 1.0206
Si 4.5453 4.6006 4.6957
H 0.2920 0.3299 1.5217
H -0.5839 2.1485 5.1968
H 1.5138 2.7977 0.1489
H 0.6379 4.6375 3.8240
H 0.6887 0.7193 6.6813
H 1.5646 1.7590 3.0062
H 1.6124 2.8272 5.9400
H 2.4883 4.6079 2.2650
H 3.3016 0.3488 5.0852
H 4.1775 2.1295 1.4101
H 4.2253 3.1977 4.3439
H 5.1012 4.2374 0.6689
H 5.1521 0.3193 3.5262
H 4.2761 2.1591 7.2013
H 6.3738 2.8083 2.1533
H 5.4979 4.6268 5.8284
```

Summary:
DFT total energy: -4.53 eV per atom

=====

(9)
A plane-wave DFT calculation with meta-GGA r2SCAN was carried out for an optimized crystal structure of GeRh.

```
8
Lattice="4.9084 0.0000 0.0000 0.0000 4.9084 0.0000 0.0000 0.0000 4.9084" Properties=species:S:1:pos:R:3 pbc="T T T"
Ge 0.8162 1.6380 3.2704
Ge 1.6380 3.2704 0.8162
Ge 3.2704 0.8162 1.6380
Ge 4.0922 4.0922 4.0922
Rh 0.5782 0.5782 0.5782
Rh 1.8760 4.3302 3.0324
Rh 3.0324 1.8760 4.3302
Rh 4.3302 3.0324 1.8760
```

Summary:
DFT total energy: -19.50 eV per atom

=====

(10)
A plane-wave DFT calculation with meta-GGA r2SCAN was carried out for an optimized crystal structure of CeGe5.

```
6
Lattice="3.9535 0.0000 0.0000 0.0111 6.1454 0.0000 1.9767 3.0663 4.9586" Properties=species:S:1:pos:R:3 pbc="T T T"
Ce 0.0000 0.0000 0.0000
Ge 0.0055 3.0727 0.0000
Ge 1.9771 1.8129 1.6944
Ge 1.9818 4.3275 1.6934
Ge 3.9596 4.8842 3.2652
Ge 3.9642 7.3987 3.2643
```

Summary:
DFT total energy: -16.96 eV per atom

=====

(11)
A plane-wave DFT calculation with meta-GGA r2SCAN was carried out for an optimized crystal structure of Y4Zr3O12.

```
38
Lattice="6.3643 0.0000 0.0000 -1.0457 6.3532 0.0000 -2.0507 -2.4217 12.3637" Properties=species:S:1:pos:R:3 pbc="T T T"
Y -0.2469 -0.1199 4.9643
Y -0.5907 0.8271 8.4292
Y 0.5143 2.0385 2.2404
Y -0.3892 2.1186 11.7195
Y 3.6571 1.8130 0.6442
Y 2.7536 1.8930 10.1233
Y 3.8586 3.1045 3.9345
Y 3.5148 4.0514 7.3994
Zr -1.3194 -1.2838 11.1934
Zr 0.6274 3.2009 5.5280
Zr 0.5568 4.5024 9.2353
Zr 2.7111 -0.5709 3.1284
Zr 2.6405 0.7307 6.8357
Zr 4.5873 5.2153 1.1703
O -2.4287 2.9566 11.8957
O -1.7050 0.5960 10.4131
O -1.2310 4.0849 5.7066
O -0.5599 1.9261 4.2307
O -0.3823 -1.3770 8.8553
O 0.7159 -0.2719 2.5294
O 1.5193 2.4981 0.3580
O 0.5469 1.3985 6.5972
O 0.7557 -1.7123 11.1965
O 1.3845 3.7135 3.6242
O 0.4089 2.4557 9.6239
O 2.0395 -0.2983 5.0804
O 1.2284 4.2298 7.2833
O 2.8590 1.4759 2.7398
O 1.8834 0.2180 8.7395
O 2.5122 5.6438 1.1672
O 2.7210 2.5331 5.7666
O 1.7486 1.4334 12.0058
O 2.5521 4.2034 9.8343
O 3.6502 5.3085 3.5084
O 3.8278 2.0054 8.1330
O 4.4989 -0.1534 6.6571
O 4.9729 3.3355 1.9506
O 5.6967 0.9749 0.4680
```

Summary:
DFT total energy: -15.51 eV per atom

=====

(12)
A plane-wave DFT calculation with meta-GGA r2SCAN was carried out for an optimized crystal structure of Rb2GeF6.

```
9
Lattice="5.8186 0.0000 0.0000 -2.9093 5.0390 0.0000 0.0000 0.0000 4.7497" Properties=species:S:1:pos:R:3 pbc="T T T"
Rb 0.0000 3.3593 0.9427
Rb 2.9093 1.6797 3.8071
Ge 0.0000 0.0000 2.3749
F 0.0000 1.5016 3.3927
F -1.6088 4.2882 3.3927
F 1.3004 0.7508 1.3570
F 1.6088 4.2882 3.3927
F 4.5181 0.7508 1.3570
F 2.9093 3.5374 1.3570
```

Summary:
DFT total energy: -9.69 eV per atom

=====

Values of calculated density, in order: 10.65, 10.10, 11.23, 5.94, 11.46, 10.05, 4.58, 0.78, 9.86, 6.94, 5.46, 4.26, all in g cm⁻³.
Values of formation energy, in order: -1.069, -0.652, -1.077, -2.735, -0.838, -0.540, -0.853, -0.008, -0.496, -0.264, -3.871, -2.971, all in eV/atom.